Entry from Materials Project: a relaxed Mn3Cr2SnP6O24 crystal (PBE+U).

Cell lengths 8.533, 8.533, 8.533 Å; angles 61.45, 61.45, 61.45 degrees
Element x y z (fractional)
Mn1 0.000 0.000 0.000
Mn2 0.205 0.205 0.205
Mn3 0.707 0.707 0.707
Cr1 0.350 0.350 0.350
Cr2 0.853 0.853 0.853
Sn1 0.499 0.499 0.499
P1 0.099 0.805 0.404
P2 0.300 0.605 0.906
P3 0.404 0.099 0.805
P4 0.605 0.906 0.300
P5 0.805 0.404 0.099
P6 0.906 0.300 0.605
O1 0.028 0.839 0.256
O2 0.100 0.756 0.917
O3 0.106 0.287 0.447
O4 0.173 0.954 0.367
O5 0.256 0.028 0.839
O6 0.259 0.600 0.417
O7 0.287 0.447 0.106
O8 0.339 0.531 0.753
O9 0.367 0.173 0.954
O10 0.417 0.259 0.600
O11 0.447 0.106 0.287
O12 0.456 0.671 0.864
O13 0.531 0.753 0.339
O14 0.600 0.417 0.259
O15 0.607 0.947 0.789
O16 0.671 0.864 0.456
O17 0.753 0.339 0.531
O18 0.756 0.917 0.100
O19 0.789 0.607 0.947
O20 0.839 0.256 0.028
O21 0.864 0.456 0.671
O22 0.917 0.100 0.756
O23 0.947 0.789 0.607
O24 0.954 0.367 0.173

Values from the calculation:
Space group: R3, No. 146
Calculated formation energy (eV per atom): -2.427
Uncorrected energy (eV per atom): -7.331
Total magnetic moment (μB per atom): 0.53